Record 1
Here is an optimized crystal structure of Cs2PtF6 from Materials Project. Energies are from meta-GGA r2SCAN.

Unit cell a=6.2194 b=6.2194 c=4.9917 alpha=90.00 beta=90.00 gamma=120.00
Element x y z (fractional)
Cs  0.3333  0.6667  0.2049
Cs  0.6667  0.3333  0.7951
Pt  0.0000  0.0000  0.5000
F  0.1522  0.3044  0.7147
F  0.1522  0.8478  0.7147
F  0.3044  0.1522  0.2853
F  0.6956  0.8478  0.7147
F  0.8478  0.1522  0.2853
F  0.8478  0.6956  0.2853

Computed properties:
Its formation enthalpy at 0 K is -2.359 eV per atom. The space-group type is No. 164.

=====

Record 2
Here is an optimized crystal structure of Cs2RhF6 from Materials Project. Energies are from meta-GGA r2SCAN.

Unit cell a=6.2021 b=6.2021 c=4.9692 alpha=90.00 beta=90.00 gamma=120.00
Element x y z (fractional)
Cs  0.3333  0.6667  0.2949
Cs  0.6667  0.3333  0.7051
Rh  0.0000  0.0000  0.0000
F  0.1489  0.2979  0.7834
F  0.1489  0.8511  0.7834
F  0.2979  0.1489  0.2166
F  0.7021  0.8511  0.7834
F  0.8511  0.1489  0.2166
F  0.8511  0.7021  0.2166

Computed properties:
Its formation enthalpy at 0 K is -2.442 eV per atom. The space-group type is No. 164.

=====

- What is the formation enthalpy at 0 K in the second record?
  -2.442 eV per atom

=====

- What is the formation enthalpy at 0 K in the first record?
  -2.359 eV per atom